! Cr5Te8 (GGA-PBE, optimized geometry); values from VASP
&SYSTEM
  ibrav = 0, nat = 13, ntyp = 2
/
ATOMIC_SPECIES
Cr 52.00 Cr.upf
Te 127.60 Te.upf
ATOMIC_POSITIONS crystal
Cr 0.000 0.000 0.000
Cr 0.000 0.000 0.500
Cr 0.000 0.500 0.000
Cr 0.500 0.000 0.000
Cr 0.500 0.500 0.000
Te 0.167 0.335 0.249
Te 0.167 0.833 0.249
Te 0.333 0.667 0.756
Te 0.335 0.167 0.751
Te 0.665 0.833 0.249
Te 0.667 0.333 0.244
Te 0.833 0.167 0.751
Te 0.833 0.665 0.751
CELL_PARAMETERS angstrom
7.956 0.000 0.000
-3.978 6.890 0.000
0.000 0.000 5.986
! Offset from the most stable computed form in meV/atom: 8
! E_form in eV per atom: -0.47

***

! BeH14I4O18 (GGA-PBE, optimized geometry); values from VASP
&SYSTEM
  ibrav = 0, nat = 148, ntyp = 4
/
ATOMIC_SPECIES
Be 9.01 Be.upf
H 1.01 H.upf
I 126.90 I.upf
O 16.00 O.upf
ATOMIC_POSITIONS crystal
Be 0.202 0.250 0.119
Be 0.298 0.750 0.619
Be 0.702 0.250 0.381
Be 0.798 0.750 0.881
H 0.011 0.099 0.354
H 0.011 0.401 0.354
H 0.042 0.597 0.824
H 0.042 0.717 0.999
H 0.042 0.783 0.999
H 0.042 0.903 0.824
H 0.091 0.717 0.447
H 0.091 0.783 0.447
H 0.124 0.166 0.228
H 0.124 0.334 0.228
H 0.148 0.168 0.609
H 0.148 0.332 0.609
H 0.176 0.671 0.712
H 0.176 0.829 0.712
H 0.324 0.171 0.212
H 0.324 0.329 0.212
H 0.352 0.668 0.109
H 0.352 0.832 0.109
H 0.376 0.666 0.728
H 0.376 0.834 0.728
H 0.409 0.217 0.947
H 0.409 0.283 0.947
H 0.458 0.097 0.324
H 0.458 0.217 0.499
H 0.458 0.283 0.499
H 0.458 0.403 0.324
H 0.489 0.599 0.854
H 0.489 0.901 0.854
H 0.511 0.099 0.146
H 0.511 0.401 0.146
H 0.542 0.597 0.676
H 0.542 0.717 0.501
H 0.542 0.783 0.501
H 0.542 0.903 0.676
H 0.591 0.717 0.053
H 0.591 0.783 0.053
H 0.624 0.166 0.272
H 0.624 0.334 0.272
H 0.648 0.168 0.891
H 0.648 0.332 0.891
H 0.676 0.671 0.788
H 0.676 0.829 0.788
H 0.824 0.171 0.288
H 0.824 0.329 0.288
H 0.852 0.668 0.391
H 0.852 0.832 0.391
H 0.876 0.666 0.772
H 0.876 0.834 0.772
H 0.909 0.217 0.553
H 0.909 0.283 0.553
H 0.958 0.097 0.176
H 0.958 0.217 0.001
H 0.958 0.283 0.001
H 0.958 0.403 0.176
H 0.989 0.599 0.646
H 0.989 0.901 0.646
I 0.035 0.617 0.208
I 0.035 0.883 0.208
I 0.235 0.008 0.480
I 0.235 0.492 0.480
I 0.265 0.508 0.980
I 0.265 0.992 0.980
I 0.465 0.117 0.708
I 0.465 0.383 0.708
I 0.535 0.617 0.292
I 0.535 0.883 0.292
I 0.735 0.008 0.020
I 0.735 0.492 0.020
I 0.765 0.508 0.520
I 0.765 0.992 0.520
I 0.965 0.117 0.792
I 0.965 0.383 0.792
O 0.009 0.250 0.051
O 0.020 0.622 0.736
O 0.020 0.878 0.736
O 0.022 0.169 0.628
O 0.022 0.331 0.628
O 0.063 0.056 0.520
O 0.063 0.444 0.520
O 0.083 0.556 0.997
O 0.083 0.944 0.997
O 0.139 0.667 0.087
O 0.139 0.833 0.087
O 0.140 0.750 0.498
O 0.178 0.117 0.871
O 0.178 0.383 0.871
O 0.219 0.193 0.213
O 0.219 0.307 0.213
O 0.223 0.006 0.270
O 0.223 0.494 0.270
O 0.277 0.506 0.770
O 0.277 0.994 0.770
O 0.281 0.693 0.713
O 0.281 0.807 0.713
O 0.322 0.617 0.371
O 0.322 0.883 0.371
O 0.360 0.250 0.998
O 0.361 0.167 0.587
O 0.361 0.333 0.587
O 0.417 0.056 0.497
O 0.417 0.444 0.497
O 0.437 0.556 0.020
O 0.437 0.944 0.020
O 0.478 0.669 0.128
O 0.478 0.831 0.128
O 0.480 0.122 0.236
O 0.480 0.378 0.236
O 0.491 0.750 0.551
O 0.509 0.250 0.449
O 0.520 0.622 0.764
O 0.520 0.878 0.764
O 0.522 0.169 0.872
O 0.522 0.331 0.872
O 0.563 0.056 0.980
O 0.563 0.444 0.980
O 0.583 0.556 0.503
O 0.583 0.944 0.503
O 0.639 0.667 0.413
O 0.639 0.833 0.413
O 0.640 0.750 0.002
O 0.678 0.117 0.629
O 0.678 0.383 0.629
O 0.719 0.193 0.287
O 0.719 0.307 0.287
O 0.723 0.006 0.230
O 0.723 0.494 0.230
O 0.777 0.506 0.730
O 0.777 0.994 0.730
O 0.781 0.693 0.787
O 0.781 0.807 0.787
O 0.822 0.617 0.129
O 0.822 0.883 0.129
O 0.860 0.250 0.502
O 0.861 0.167 0.913
O 0.861 0.333 0.913
O 0.917 0.056 0.003
O 0.917 0.444 0.003
O 0.937 0.556 0.480
O 0.937 0.944 0.480
O 0.978 0.669 0.372
O 0.978 0.831 0.372
O 0.980 0.122 0.264
O 0.980 0.378 0.264
O 0.991 0.750 0.949
CELL_PARAMETERS angstrom
7.888 0.000 0.000
0.000 24.875 0.000
0.000 0.000 8.655
! E_form in eV per atom: -1.19

***

! Ce2USe4 (GGA-PBE, optimized geometry); values from VASP
&SYSTEM
  ibrav = 0, nat = 14, ntyp = 3
/
ATOMIC_SPECIES
Ce 140.12 Ce.upf
U 238.03 U.upf
Se 78.96 Se.upf
ATOMIC_POSITIONS crystal
Ce 0.001 0.625 0.876
Ce 0.375 0.251 0.376
Ce 0.749 0.125 0.124
Ce 0.875 0.999 0.624
U 0.250 0.750 0.500
U 0.500 0.500 0.000
Se 0.129 0.380 0.601
Se 0.130 0.379 0.101
Se 0.278 0.029 0.899
Se 0.472 0.871 0.250
Se 0.620 0.221 0.750
Se 0.621 0.722 0.750
Se 0.779 0.528 0.399
Se 0.971 0.870 0.250
CELL_PARAMETERS angstrom
-4.437 4.437 4.416
4.437 -4.437 4.416
4.437 4.437 -4.416
! E_form in eV per atom: -1.87